1.
Density functional theory data (r2SCAN) for a relaxed structure of LaSi2Pt.

a b c (Å): 4.3497 16.9155 4.2733
angles (deg): 90.00 90.00 90.00
Space group Cmcm (No. 63)
Asymmetric unit:
1 La 0.0000 0.1054 0.2500
2 Si 0.0000 0.2496 0.7500
3 Si 0.0000 0.4640 0.2500
4 Pt 0.0000 0.3195 0.2500

Properties
As for the formation energy from the elements: -1.110 eV per atom. The value obtained for the total magnetization is 0.0 Bohr magnetons per cell.

---

2.
Density functional theory data (r2SCAN) for a relaxed structure of GdCo3B2.

a b c (Å): 5.0595 5.0595 2.9326
angles (deg): 90.00 90.00 120.00
Space group P6/mmm (No. 191)
Asymmetric unit:
1 Gd 0.0000 0.0000 0.0000
2 Co 0.0000 0.5000 0.5000
3 B 0.3333 0.6667 0.0000

Properties
As for the formation energy from the elements: -0.371 eV per atom. The value obtained for the total magnetization is 6.1 Bohr magnetons per cell.

---

3.
Density functional theory data (r2SCAN) for a relaxed structure of Pr2Ga5Cu3.

a b c (Å): 4.2180 4.2180 10.2637
angles (deg): 90.00 90.00 90.00
Space group P-4m2 (No. 115)
Asymmetric unit:
1 Pr 0.0000 0.5000 0.2436
2 Ga 0.0000 0.0000 0.5000
3 Ga 0.0000 0.5000 0.6358
4 Ga 0.0000 0.5000 0.8811
5 Cu 0.0000 0.0000 0.0000
6 Cu 0.5000 0.5000 0.0000
7 Cu 0.5000 0.5000 0.5000

Properties
As for the formation energy from the elements: -0.529 eV per atom. The value obtained for the total magnetization is 0.0 Bohr magnetons per cell.

---

4.
Density functional theory data (r2SCAN) for a relaxed structure of Na2Ga2As3.

a b c (Å): 13.1891 6.7127 14.3535
angles (deg): 90.00 90.24 90.00
Space group P2_1/c (No. 14)
Asymmetric unit:
1 Na 0.0651 0.0896 0.4094
2 Na 0.1535 0.5802 0.4777
3 Na 0.3593 0.0486 0.4889
4 Na 0.4146 0.5457 0.3890
5 Ga 0.0867 0.7371 0.2412
6 Ga 0.1828 0.2169 0.1604
7 Ga 0.3125 0.7378 0.1691
8 Ga 0.4097 0.2096 0.2291
9 As 0.0207 0.0300 0.1553
10 As 0.1598 0.5548 0.1024
11 As 0.2475 0.6640 0.8273
12 As 0.2500 0.2065 0.3215
13 As 0.3399 0.0498 0.0850
14 As 0.4685 0.5338 0.1690

Properties
As for the formation energy from the elements: -0.531 eV per atom. The value obtained for the total magnetization is 0.0 Bohr magnetons per cell.

---

5.
Density functional theory data (r2SCAN) for a relaxed structure of CeAlO3.

a b c (Å): 5.3064 5.3064 7.5730
angles (deg): 90.00 90.00 90.00
Space group I4/mcm (No. 140)
Asymmetric unit:
1 Ce 0.0000 0.5000 0.2500
2 Al 0.0000 0.0000 0.0000
3 O 0.0000 0.0000 0.2500
4 O 0.2189 0.2811 0.0000

Properties
As for the formation energy from the elements: -3.574 eV per atom. The value obtained for the total magnetization is 4.0 Bohr magnetons per cell.

---

6.
Density functional theory data (r2SCAN) for a relaxed structure of USnI6.

a b c (Å): 7.5686 7.5686 14.1538
angles (deg): 90.00 90.00 120.00
Space group P-31c (No. 163)
Asymmetric unit:
1 U 0.0000 0.0000 0.0000
2 Sn 0.3333 0.6667 0.2500
3 I 0.0118 0.3329 0.8779

Properties
As for the formation energy from the elements: -0.886 eV per atom. The value obtained for the total magnetization is 4.0 Bohr magnetons per cell.

---

7.
Density functional theory data (r2SCAN) for a relaxed structure of Li2Sm2Si3.

a b c (Å): 4.3514 18.3121 6.7663
angles (deg): 90.00 90.00 90.00
Space group Cmcm (No. 63)
Asymmetric unit:
1 Li 0.0000 0.1891 0.0592
2 Sm 0.0000 0.3420 0.2500
3 Sm 0.0000 0.4476 0.7500
4 Si 0.0000 0.0579 0.5750
5 Si 0.0000 0.2803 0.7500

Properties
As for the formation energy from the elements: -0.681 eV per atom. The value obtained for the total magnetization is 0.0 Bohr magnetons per cell.

---

8.
Density functional theory data (r2SCAN) for a relaxed structure of SmN.

a b c (Å): 5.0602 5.0602 5.0602
angles (deg): 90.00 90.00 90.00
Space group Fm-3m (No. 225)
Asymmetric unit:
1 Sm 0.0000 0.0000 0.0000
2 N 0.0000 0.0000 0.5000

Properties
As for the formation energy from the elements: -1.767 eV per atom. The value obtained for the total magnetization is 0.0 Bohr magnetons per cell.

---

9.
Density functional theory data (r2SCAN) for a relaxed structure of ErNi2B2.

a b c (Å): 8.3266 5.1765 6.8177
angles (deg): 90.00 126.83 90.00
Space group C2/c (No. 15)
Asymmetric unit:
1 Er 0.0000 0.1191 0.2500
2 Ni 0.1260 0.4047 0.7003
3 B 0.1702 0.3268 0.0247

Properties
As for the formation energy from the elements: -0.609 eV per atom. The value obtained for the total magnetization is 0.0 Bohr magnetons per cell.

---

10.
Density functional theory data (r2SCAN) for a relaxed structure of K3AsSe3.

a b c (Å): 9.7636 9.7636 9.7636
angles (deg): 90.00 90.00 90.00
Space group P2_13 (No. 198)
Asymmetric unit:
1 K 0.0791 0.0791 0.0791
2 K 0.1831 0.3169 0.6831
3 K 0.1869 0.6869 0.8131
4 As 0.0228 0.9772 0.4772
5 Se 0.0049 0.2116 0.4011

Properties
As for the formation energy from the elements: -1.077 eV per atom. The value obtained for the total magnetization is 0.0 Bohr magnetons per cell.

---

11.
Density functional theory data (r2SCAN) for a relaxed structure of EuNb8O14.

a b c (Å): 9.2622 10.3864 6.0023
angles (deg): 90.00 90.00 90.00
Space group Pbam (No. 55)
Asymmetric unit:
1 Eu 0.0000 0.0000 0.0000
2 Nb 0.1154 0.1635 0.5000
3 Nb 0.1202 0.6641 0.0000
4 Nb 0.1262 0.4234 0.2310
5 O 0.0000 0.0000 0.5000
6 O 0.0000 0.5000 0.5000
7 O 0.0046 0.2470 0.2461
8 O 0.2329 0.8498 0.0000
9 O 0.2354 0.3197 0.5000
10 O 0.2365 0.0856 0.2443

Properties
As for the formation energy from the elements: -2.650 eV per atom. The value obtained for the total magnetization is 13.9 Bohr magnetons per cell.

---

12.
Density functional theory data (r2SCAN) for a relaxed structure of NdGa.

a b c (Å): 4.4960 11.2396 4.1783
angles (deg): 90.00 90.00 90.00
Space group Cmcm (No. 63)
Asymmetric unit:
1 Nd 0.0000 0.1384 0.2500
2 Ga 0.0000 0.4300 0.2500

Properties
As for the formation energy from the elements: -0.693 eV per atom. The value obtained for the total magnetization is 0.0 Bohr magnetons per cell.